Record 1
Material: Sm2TlIn
Method: DFT, PBE
State: relaxed

a = 5.451 Å, b = 5.451 Å, c = 5.451 Å
α = 60.00°, β = 60.00°, γ = 60.00°
Positions (direct):
Sm (0.250, 0.250, 0.250)
Sm (0.750, 0.750, 0.750)
Tl (0.000, 0.000, 0.000)
In (0.500, 0.500, 0.500)

Results
Its formation energy is -0.43 eV per atom. The calculation puts the energy at -4.068 eV per atom.

---

Record 2
Material: Na10Sc7TaSi6S6O48
Method: DFT, PBE
State: relaxed

a = 9.059 Å, b = 15.705 Å, c = 22.910 Å
α = 90.18°, β = 90.12°, γ = 90.08°
Positions (direct):
Na (0.000, 0.000, 0.000)
Na (0.001, 0.363, 0.001)
Na (0.004, 0.025, 0.332)
Na (0.131, 0.829, 0.167)
Na (0.133, 0.870, 0.499)
Na (0.144, 0.499, 0.503)
Na (0.179, 0.187, 0.498)
Na (0.307, 0.678, 0.248)
Na (0.307, 0.689, 0.748)
Na (0.322, 0.017, 0.414)
Na (0.322, 0.353, 0.585)
Na (0.323, 0.346, 0.083)
Na (0.324, 0.023, 0.914)
Na (0.453, 0.187, 0.997)
Na (0.454, 0.853, 0.334)
Na (0.460, 0.513, 0.666)
Na (0.500, 0.171, 0.331)
Na (0.507, 0.866, 0.000)
Na (0.511, 0.499, 0.994)
Na (0.636, 0.374, 0.499)
Na (0.674, 0.353, 0.827)
Na (0.801, 0.521, 0.417)
Na (0.810, 0.191, 0.746)
Na (0.812, 0.526, 0.911)
Na (0.816, 0.846, 0.082)
Na (0.818, 0.185, 0.245)
Na (0.818, 0.851, 0.583)
Na (0.947, 0.688, 0.001)
Na (0.955, 0.353, 0.330)
Na (0.958, 0.015, 0.662)
Sc (0.312, 0.013, 0.567)
Sc (0.317, 0.686, 0.102)
Sc (0.318, 0.685, 0.603)
Sc (0.320, 0.017, 0.272)
Sc (0.321, 0.020, 0.058)
Sc (0.324, 0.015, 0.768)
Sc (0.324, 0.680, 0.397)
Sc (0.327, 0.346, 0.234)
Sc (0.327, 0.354, 0.433)
Sc (0.334, 0.344, 0.930)
Sc (0.341, 0.351, 0.734)
Sc (0.807, 0.513, 0.564)
Sc (0.814, 0.524, 0.066)
Sc (0.816, 0.519, 0.771)
Sc (0.821, 0.186, 0.097)
Sc (0.822, 0.523, 0.265)
Sc (0.823, 0.860, 0.432)
Sc (0.825, 0.844, 0.936)
Sc (0.826, 0.190, 0.601)
Sc (0.830, 0.848, 0.233)
Sc (0.839, 0.843, 0.732)
Ta (0.327, 0.688, 0.893)
Ta (0.814, 0.183, 0.900)
Ta (0.830, 0.185, 0.395)
Si (0.111, 0.187, 0.999)
Si (0.118, 0.846, 0.333)
Si (0.175, 0.869, 0.667)
Si (0.177, 0.829, 0.000)
Si (0.178, 0.207, 0.334)
Si (0.466, 0.499, 0.833)
Si (0.468, 0.540, 0.501)
Si (0.469, 0.198, 0.833)
Si (0.608, 0.684, 0.000)
Si (0.617, 0.355, 0.334)
Si (0.675, 0.332, 0.001)
Si (0.675, 0.368, 0.667)
Si (0.675, 0.996, 0.332)
Si (0.677, 0.037, 0.001)
Si (0.965, 0.037, 0.502)
Si (0.968, 0.701, 0.835)
Si (0.970, 0.666, 0.166)
Si (0.971, 0.332, 0.499)
S (0.027, 0.019, 0.166)
S (0.028, 0.685, 0.499)
S (0.029, 0.349, 0.833)
S (0.112, 0.517, 0.665)
S (0.176, 0.164, 0.666)
S (0.176, 0.498, 0.332)
S (0.177, 0.540, 0.998)
S (0.468, 0.164, 0.166)
S (0.469, 0.872, 0.166)
S (0.470, 0.830, 0.500)
S (0.524, 0.516, 0.166)
S (0.530, 0.852, 0.833)
S (0.532, 0.182, 0.499)
S (0.613, 0.017, 0.666)
S (0.676, 0.665, 0.666)
S (0.677, 0.705, 0.334)
S (0.966, 0.999, 0.833)
S (0.970, 0.370, 0.166)
O (0.007, 0.204, 0.055)
O (0.011, 0.167, 0.662)
O (0.011, 0.504, 0.326)
O (0.014, 0.531, 0.004)
O (0.016, 0.867, 0.390)
O (0.018, 0.530, 0.717)
O (0.018, 0.835, 0.274)
O (0.024, 0.509, 0.610)
O (0.116, 0.361, 0.888)
O (0.121, 0.028, 0.219)
O (0.121, 0.336, 0.782)
O (0.123, 0.007, 0.113)
O (0.123, 0.672, 0.447)
O (0.124, 0.701, 0.551)
O (0.128, 0.009, 0.827)
O (0.134, 0.364, 0.171)
O (0.149, 0.339, 0.492)
O (0.150, 0.033, 0.502)
O (0.151, 0.678, 0.163)
O (0.152, 0.696, 0.845)
O (0.192, 0.270, 0.278)
O (0.197, 0.771, 0.058)
O (0.198, 0.446, 0.386)
O (0.200, 0.928, 0.607)
O (0.203, 0.595, 0.946)
O (0.207, 0.440, 0.670)
O (0.208, 0.109, 0.717)
O (0.212, 0.101, 0.005)
O (0.212, 0.273, 0.993)
O (0.214, 0.593, 0.661)
O (0.220, 0.934, 0.326)
O (0.234, 0.767, 0.340)
O (0.238, 0.251, 0.672)
O (0.240, 0.126, 0.611)
O (0.241, 0.454, 0.991)
O (0.241, 0.584, 0.338)
O (0.242, 0.457, 0.280)
O (0.243, 0.111, 0.325)
O (0.245, 0.577, 0.051)
O (0.246, 0.920, 0.722)
O (0.248, 0.774, 0.659)
O (0.251, 0.245, 0.393)
O (0.256, 0.923, 0.005)
O (0.257, 0.779, 0.945)
O (0.390, 0.583, 0.559)
O (0.392, 0.444, 0.496)
O (0.392, 0.460, 0.774)
O (0.392, 0.595, 0.843)
O (0.395, 0.787, 0.162)
O (0.397, 0.250, 0.170)
O (0.399, 0.104, 0.825)
O (0.399, 0.916, 0.506)
O (0.400, 0.793, 0.446)
O (0.401, 0.913, 0.219)
O (0.405, 0.240, 0.893)
O (0.406, 0.123, 0.113)
O (0.427, 0.598, 0.444)
O (0.429, 0.439, 0.172)
O (0.430, 0.925, 0.828)
O (0.433, 0.594, 0.161)
O (0.433, 0.772, 0.839)
O (0.434, 0.107, 0.504)
O (0.434, 0.777, 0.551)
O (0.435, 0.113, 0.220)
O (0.437, 0.260, 0.494)
O (0.437, 0.924, 0.113)
O (0.438, 0.441, 0.892)
O (0.449, 0.265, 0.779)
O (0.491, 0.366, 0.670)
O (0.496, 0.344, 0.995)
O (0.497, 0.012, 0.325)
O (0.497, 0.032, 0.005)
O (0.497, 0.669, 0.943)
O (0.503, 0.698, 0.056)
O (0.509, 0.331, 0.279)
O (0.511, 0.670, 0.659)
O (0.511, 0.698, 0.339)
O (0.519, 0.007, 0.613)
O (0.520, 0.030, 0.719)
O (0.521, 0.366, 0.394)
O (0.615, 0.503, 0.112)
O (0.616, 0.863, 0.887)
O (0.621, 0.838, 0.781)
O (0.622, 0.527, 0.218)
O (0.623, 0.171, 0.444)
O (0.626, 0.196, 0.550)
O (0.630, 0.863, 0.172)
O (0.631, 0.173, 0.163)
O (0.631, 0.837, 0.494)
O (0.647, 0.504, 0.828)
O (0.647, 0.528, 0.504)
O (0.657, 0.196, 0.840)
O (0.692, 0.935, 0.389)
O (0.697, 0.267, 0.055)
O (0.699, 0.759, 0.281)
O (0.701, 0.429, 0.609)
O (0.701, 0.611, 0.718)
O (0.707, 0.102, 0.943)
O (0.708, 0.940, 0.672)
O (0.710, 0.769, 0.994)
O (0.713, 0.092, 0.661)
O (0.713, 0.598, 0.003)
O (0.716, 0.263, 0.342)
O (0.736, 0.432, 0.326)
O (0.736, 0.752, 0.672)
O (0.740, 0.618, 0.327)
O (0.741, 0.744, 0.386)
O (0.743, 0.626, 0.613)
O (0.744, 0.415, 0.725)
O (0.746, 0.273, 0.661)
O (0.748, 0.093, 0.344)
O (0.748, 0.944, 0.990)
O (0.751, 0.283, 0.942)
O (0.759, 0.080, 0.056)
O (0.760, 0.956, 0.276)
O (0.761, 0.423, 0.004)
O (0.890, 0.283, 0.441)
O (0.896, 0.427, 0.502)
O (0.896, 0.763, 0.170)
O (0.897, 0.087, 0.839)
O (0.898, 0.081, 0.560)
O (0.898, 0.745, 0.893)
O (0.899, 0.961, 0.780)
O (0.900, 0.285, 0.163)
O (0.901, 0.940, 0.495)
O (0.903, 0.606, 0.826)
O (0.903, 0.620, 0.106)
O (0.907, 0.412, 0.220)
O (0.927, 0.100, 0.444)
O (0.929, 0.271, 0.839)
O (0.929, 0.424, 0.829)
O (0.930, 0.605, 0.221)
O (0.933, 0.761, 0.493)
O (0.934, 0.096, 0.162)
O (0.937, 0.421, 0.113)
O (0.937, 0.940, 0.170)
O (0.937, 0.948, 0.886)
O (0.940, 0.268, 0.553)
O (0.941, 0.606, 0.506)
O (0.944, 0.763, 0.778)
O (0.992, 0.868, 0.671)
O (0.994, 0.195, 0.341)
O (0.999, 0.170, 0.942)
O (0.999, 0.843, 0.993)

Results
Its formation energy is -2.82 eV per atom. The calculation puts the energy at -7.072 eV per atom.